Computed, not measured: a relaxed structure of Lu5Tl3 at the PBE-GGA level of DFT.

Properties
* calculated volume: 27.6 A^3/atom
* density: 11.190 g/cm³
* formation enthalpy at 0 K: -0.263 eV/atom

Cell: 6.547 8.812 8.832 Å, 119.93 90.00 90.00°
Element x y z (fractional)
1 Lu 0.000 0.333 0.666
2 Lu 0.000 0.667 0.334
3 Lu 0.250 0.248 0.248
4 Lu 0.500 0.667 0.334
5 Lu 0.750 0.000 0.248
6 Lu 0.750 0.752 0.752
7 Lu 0.500 0.333 0.666
8 Lu 0.750 0.248 0.000
9 Lu 0.250 0.000 0.752
10 Lu 0.250 0.752 0.000
11 Tl 0.250 0.000 0.392
12 Tl 0.750 0.608 0.000
13 Tl 0.750 0.392 0.392
14 Tl 0.250 0.392 0.000
15 Tl 0.250 0.608 0.608
16 Tl 0.750 0.000 0.608